Material: Tb2Ge2Ru
Method: DFT, r2SCAN
State: relaxed

Calculated values
magnetic moment = 0.0 μB per cell
total DFT energy (no corrections) = -24.008 eV per atom

```
Tb2Ge2Ru
1.0
5.394 -2.142 0.000
5.394 2.142 0.000
-4.869 0.000 8.963
Tb Ge Ru
4 4 2
Direct
0.000 0.000 0.173
0.000 0.000 0.827
0.184 0.184 0.612
0.816 0.816 0.388
0.353 0.353 0.935
0.490 0.490 0.625
0.510 0.510 0.375
0.647 0.647 0.065
0.271 0.271 0.127
0.729 0.729 0.873
```

=====

Material: LaCePt2
Method: DFT, r2SCAN
State: relaxed

Calculated values
magnetic moment = 1.1 μB per cell
total DFT energy (no corrections) = -42.147 eV per atom

```
LaCePt2
1.0
4.475 0.000 0.000
0.000 1.979 5.582
0.000 -1.979 5.582
La Ce Pt
1 1 2
Direct
0.000 0.000 0.000
0.500 0.730 0.730
0.000 0.269 0.269
0.500 0.455 0.455
```

=====

Material: Ti2TcPd
Method: DFT, r2SCAN
State: relaxed

Calculated values
magnetic moment = 0.0 μB per cell
total DFT energy (no corrections) = -19.266 eV per atom

```
Ti2TcPd
1.0
0.000 3.114 3.114
3.114 0.000 3.114
3.114 3.114 0.000
Ti Tc Pd
2 1 1
Direct
0.250 0.250 0.250
0.750 0.750 0.750
0.000 0.000 0.000
0.500 0.500 0.500
```